RbNaH2 | the Materials Project | PBE-GGA | optimized geometry; formation energy = -0.15 eV/atom; MP2020-corrected energy = -2.423 eV/atom
1.0
3.9753 0.0000 0.0000
0.0000 3.9753 0.0000
0.0000 0.0000 5.6104
Na H Rb
1 2 1
Direct
0.0000 0.0000 0.5000
0.0000 0.0000 0.0000
0.5000 0.5000 0.5000
0.5000 0.5000 0.0000